No. 1
{"formula": "Ba2U2O7", "functional": "PBE-GGA", "state": "optimized geometry", "ef_ev_per_atom": -3.682, "volume_a3_per_atom": 17.65, "rho_g_cm3": 7.4, "spacegroup": "Imma, No. 74", "cell": [[-1.644, -6.766, 4.254], [-4.848, 4.435, 4.838], [-1.262, 0.004, -8.062]], "species": ["U", "U", "U", "U", "Ba", "Ba", "Ba", "Ba", "O", "O", "O", "O", "O", "O", "O", "O", "O", "O", "O", "O", "O", "O"], "frac_coords": [[0.000, 0.500, 0.000], [0.500, 0.000, 0.500], [0.000, 0.000, 0.500], [0.000, 0.500, 0.500], [0.500, 0.500, 0.000], [0.000, 0.000, 0.000], [0.500, 0.500, 0.500], [0.500, 0.000, 0.000], [0.308, 0.594, 0.714], [0.688, 0.323, 0.773], [0.380, 0.094, 0.286], [0.087, 0.250, 0.837], [0.050, 0.823, 0.635], [0.913, 0.750, 0.163], [0.950, 0.586, 0.773], [0.312, 0.086, 0.635], [0.620, 0.906, 0.714], [0.050, 0.414, 0.227], [0.688, 0.914, 0.365], [0.692, 0.406, 0.286], [0.312, 0.677, 0.227], [0.950, 0.177, 0.365]]}



No. 2
{"formula": "BaU3O14", "functional": "PBE-GGA", "state": "optimized geometry", "ef_ev_per_atom": -2.272, "magmom_total_mub_per_cell": 0.1, "volume_a3_per_atom": 16.92, "rho_g_cm3": 5.9, "spacegroup": "Pc, No. 7", "cell": [[-0.009, 0.000, -6.974], [0.000, -7.382, 0.000], [-11.830, 0.000, 0.056]], "species": ["U", "U", "U", "U", "U", "U", "O", "O", "O", "O", "O", "O", "O", "O", "O", "O", "O", "O", "O", "O", "O", "O", "O", "O", "O", "O", "O", "O", "O", "O", "O", "O", "O", "O", "Ba", "Ba"], "frac_coords": [[0.501, 0.979, 0.502], [0.502, 0.011, 0.863], [0.001, 0.021, 0.002], [0.534, 0.020, 0.183], [0.034, 0.980, 0.683], [0.002, 0.989, 0.363], [0.992, 0.480, 0.201], [0.681, 0.069, 0.018], [0.579, 0.774, 0.162], [0.079, 0.226, 0.662], [0.527, 0.272, 0.191], [0.681, 0.009, 0.348], [0.027, 0.728, 0.691], [0.813, 0.016, 0.812], [0.961, 0.772, 0.003], [0.811, 0.986, 0.553], [0.013, 0.271, 0.988], [0.938, 0.027, 0.185], [0.482, 0.262, 0.856], [0.492, 0.520, 0.701], [0.294, 0.534, 0.241], [0.438, 0.973, 0.685], [0.181, 0.931, 0.518], [0.659, 0.469, 0.667], [0.181, 0.991, 0.848], [0.521, 0.765, 0.893], [0.021, 0.235, 0.393], [0.311, 0.014, 0.053], [0.313, 0.984, 0.312], [0.513, 0.729, 0.488], [0.159, 0.531, 0.167], [0.794, 0.466, 0.741], [0.982, 0.738, 0.356], [0.461, 0.228, 0.503], [0.189, 0.509, 0.514], [0.689, 0.491, 0.014]]}



No. 3
{"formula": "BaU2O7", "functional": "PBE-GGA", "state": "optimized geometry", "ef_ev_per_atom": -3.638, "volume_a3_per_atom": 15.89, "rho_g_cm3": 7.6, "spacegroup": "I4_1/amd, No. 141", "cell": [[-3.602, 3.602, 6.125], [3.602, -3.602, 6.125], [3.602, 3.602, -6.125]], "species": ["U", "U", "U", "U", "O", "O", "O", "O", "O", "O", "O", "O", "O", "O", "O", "O", "O", "O", "Ba", "Ba"], "frac_coords": [[0.875, 0.625, 0.250], [0.375, 0.625, 0.750], [0.375, 0.125, 0.750], [0.375, 0.625, 0.250], [0.250, 0.750, 0.500], [0.639, 0.625, 0.514], [0.468, 0.968, 0.500], [0.375, 0.889, 0.014], [0.500, 0.500, 0.000], [0.375, 0.361, 0.486], [0.111, 0.625, 0.986], [0.282, 0.282, 0.000], [0.875, 0.889, 0.514], [0.032, 0.532, 0.500], [0.718, 0.718, 0.000], [0.875, 0.361, 0.986], [0.639, 0.125, 0.014], [0.111, 0.125, 0.486], [0.000, 0.000, 0.000], [0.750, 0.250, 0.500]]}



No. 4
{"formula": "Ba7U7O24", "functional": "PBE-GGA", "state": "optimized geometry", "ef_ev_per_atom": -3.612, "magmom_total_mub_per_cell": 0.3, "volume_a3_per_atom": 17.76, "rho_g_cm3": 7.4, "spacegroup": "P1, No. 1", "cell": [[-6.221, 0.000, 0.000], [-0.002, -10.680, 0.000], [0.021, 3.479, 10.157]], "species": ["O", "O", "O", "O", "O", "O", "O", "O", "O", "O", "O", "O", "O", "O", "O", "O", "O", "O", "O", "O", "O", "O", "O", "O", "U", "U", "U", "U", "U", "U", "U", "Ba", "Ba", "Ba", "Ba", "Ba", "Ba", "Ba"], "frac_coords": [[0.995, 0.414, 0.157], [0.263, 0.362, 0.894], [0.009, 0.583, 0.864], [0.261, 0.886, 0.923], [0.506, 0.911, 0.170], [0.495, 0.589, 0.330], [0.248, 0.161, 0.106], [0.735, 0.644, 0.101], [0.248, 0.651, 0.109], [0.716, 0.877, 0.913], [0.754, 0.140, 0.620], [0.992, 0.913, 0.629], [0.224, 0.365, 0.393], [0.507, 0.404, 0.661], [0.758, 0.355, 0.382], [0.735, 0.614, 0.584], [0.227, 0.150, 0.627], [0.287, 0.623, 0.594], [0.495, 0.096, 0.843], [0.758, 0.843, 0.391], [0.756, 0.352, 0.887], [0.257, 0.848, 0.399], [0.766, 0.150, 0.100], [0.005, 0.082, 0.337], [0.500, 0.756, 0.254], [0.500, 0.246, 0.745], [0.002, 0.002, 0.494], [0.000, 0.499, 0.003], [0.501, 0.486, 0.490], [0.498, 0.011, 0.016], [0.001, 0.245, 0.251], [0.988, 0.863, 0.104], [0.509, 0.377, 0.114], [0.993, 0.395, 0.633], [0.005, 0.098, 0.861], [0.524, 0.855, 0.632], [0.010, 0.632, 0.401], [0.477, 0.645, 0.864]]}



No. 5
{"formula": "Ba2UZnO6", "functional": "PBE-GGA", "state": "optimized geometry", "ef_ev_per_atom": -3.177, "magmom_total_mub_per_cell": 0.0, "volume_a3_per_atom": 15.35, "rho_g_cm3": 7.3, "spacegroup": "Fm-3m, No. 225", "cell": [[-4.250, -4.250, 0.000], [-4.250, 0.000, -4.250], [0.000, -4.250, -4.250]], "species": ["O", "O", "O", "O", "O", "O", "Zn", "U", "Ba", "Ba"], "frac_coords": [[0.254, 0.746, 0.254], [0.254, 0.746, 0.746], [0.254, 0.254, 0.746], [0.746, 0.254, 0.746], [0.746, 0.746, 0.254], [0.746, 0.254, 0.254], [0.000, 0.000, 0.000], [0.500, 0.500, 0.500], [0.250, 0.250, 0.250], [0.750, 0.750, 0.750]]}



No. 6
{"formula": "BaY2O4", "functional": "PBE-GGA", "state": "optimized geometry", "ef_ev_per_atom": -3.657, "volume_a3_per_atom": 16.06, "rho_g_cm3": 5.6, "spacegroup": "Pnma, No. 62", "cell": [[3.489, 0.000, 0.000], [0.000, 10.523, 0.000], [0.000, 0.000, 12.245]], "species": ["O", "O", "O", "O", "O", "O", "O", "O", "O", "O", "O", "O", "O", "O", "O", "O", "Y", "Y", "Y", "Y", "Y", "Y", "Y", "Y", "Ba", "Ba", "Ba", "Ba"], "frac_coords": [[0.750, 0.571, 0.426], [0.750, 0.791, 0.159], [0.250, 0.019, 0.283], [0.750, 0.291, 0.341], [0.250, 0.709, 0.659], [0.250, 0.209, 0.841], [0.750, 0.884, 0.482], [0.250, 0.519, 0.217], [0.250, 0.429, 0.574], [0.250, 0.616, 0.982], [0.250, 0.929, 0.926], [0.750, 0.071, 0.074], [0.750, 0.481, 0.783], [0.750, 0.384, 0.018], [0.750, 0.981, 0.717], [0.250, 0.116, 0.518], [0.750, 0.573, 0.611], [0.250, 0.427, 0.389], [0.750, 0.078, 0.391], [0.250, 0.927, 0.111], [0.250, 0.422, 0.891], [0.750, 0.578, 0.109], [0.750, 0.073, 0.889], [0.250, 0.922, 0.609], [0.250, 0.253, 0.149], [0.250, 0.753, 0.351], [0.750, 0.747, 0.851], [0.750, 0.247, 0.649]]}